1:
# Li3Co2Si2O8

A geometry-optimized Li3Co2Si2O8 structure (GGA+U, Materials Project).

Geometry as POSCAR:
```
Li3Co2Si2O8
1.0
0.871 -2.147 -4.688
4.544 2.548 -0.467
3.057 -4.900 2.797
O Li Co Si
8 3 2 2
direct
0.808 0.202 0.784
0.190 0.818 0.708
0.183 0.810 0.293
0.369 0.267 0.993
0.732 0.632 0.006
0.285 0.367 0.510
0.798 0.193 0.215
0.634 0.714 0.491
0.813 0.809 0.753
0.685 0.315 0.500
0.191 0.187 0.247
0.823 0.818 0.243
0.182 0.177 0.757
0.317 0.683 0.500
0.676 0.325 0.000
```

2:
# Li3Co2Si2O8

A geometry-optimized Li3Co2Si2O8 structure (GGA+U, Materials Project).

Geometry as POSCAR:
```
Li3Co2Si2O8
1.0
5.330 -0.017 -0.010
-0.016 5.013 0.013
0.103 0.017 6.556
O Si Co Li
8 2 2 3
direct
0.172 0.112 0.550
0.617 0.097 0.757
0.382 0.558 0.233
0.170 0.129 0.953
0.804 0.605 0.460
0.306 0.672 0.769
0.715 0.161 0.248
0.833 0.599 0.037
0.319 0.007 0.744
0.684 0.482 0.255
0.188 0.504 0.011
0.816 0.002 0.997
0.163 0.492 0.494
0.837 0.996 0.493
0.663 0.495 0.724
```

On energetic grounds, 1 is preferred over the next structure by 25 meV/atom.

1:
# Li2MnCo3O8

A geometry-optimized Li2MnCo3O8 structure (GGA+U, Materials Project).

Geometry as POSCAR:
```
Li2MnCo3O8
1.0
-5.358 -1.983 0.878
-0.801 -5.802 1.040
2.173 -1.467 9.809
Li Mn O Co
4 2 16 6
direct
0.014 0.500 0.500
0.987 0.500 0.000
0.514 0.500 0.500
0.487 0.499 0.000
0.513 0.000 0.500
0.988 0.000 0.000
0.378 0.208 0.123
0.090 0.790 0.875
0.159 0.204 0.392
0.912 0.208 0.623
0.630 0.207 0.892
0.119 0.792 0.378
0.870 0.796 0.608
0.623 0.787 0.376
0.665 0.204 0.392
0.410 0.212 0.624
0.139 0.204 0.893
0.342 0.793 0.108
0.589 0.793 0.877
0.365 0.795 0.608
0.877 0.210 0.125
0.834 0.796 0.107
0.251 0.998 0.750
0.487 0.000 0.000
0.749 0.999 0.251
0.748 0.003 0.750
0.249 0.001 0.250
0.013 0.000 0.500
```

2:
# Li2MnCo3O8

A geometry-optimized Li2MnCo3O8 structure (GGA+U, Materials Project).

Geometry as POSCAR:
```
Li2MnCo3O8
1.0
8.120 0.000 0.000
0.000 8.120 0.000
0.000 0.000 8.120
O Co Li Mn
32 12 8 4
direct
0.888 0.111 0.112
0.640 0.860 0.140
0.388 0.389 0.888
0.610 0.110 0.390
0.888 0.388 0.389
0.890 0.890 0.890
0.361 0.638 0.638
0.112 0.611 0.388
0.140 0.640 0.860
0.639 0.138 0.862
0.112 0.888 0.111
0.389 0.888 0.388
0.110 0.390 0.610
0.638 0.361 0.638
0.860 0.140 0.640
0.388 0.112 0.611
0.362 0.861 0.862
0.111 0.112 0.888
0.862 0.362 0.861
0.360 0.360 0.360
0.612 0.889 0.612
0.612 0.612 0.889
0.138 0.139 0.362
0.889 0.612 0.612
0.138 0.862 0.639
0.611 0.388 0.112
0.638 0.638 0.361
0.139 0.362 0.138
0.390 0.610 0.110
0.362 0.138 0.139
0.862 0.639 0.138
0.861 0.862 0.362
0.375 0.125 0.375
0.625 0.125 0.625
0.375 0.625 0.875
0.625 0.875 0.375
0.125 0.875 0.875
0.875 0.375 0.625
0.125 0.625 0.625
0.375 0.375 0.125
0.875 0.125 0.875
0.875 0.875 0.125
0.625 0.625 0.125
0.125 0.375 0.375
0.253 0.747 0.247
0.753 0.753 0.753
0.497 0.497 0.497
0.003 0.503 0.997
0.747 0.247 0.253
0.247 0.253 0.747
0.997 0.003 0.503
0.503 0.997 0.003
0.125 0.125 0.125
0.875 0.625 0.375
0.375 0.875 0.625
0.625 0.375 0.875
```

On energetic grounds, 2 is preferred over the next structure by 72 meV/atom.

1:
# Li3NiPCO7

A geometry-optimized Li3NiPCO7 structure (GGA+U, Materials Project).

Geometry as POSCAR:
```
Li3NiPCO7
1.0
0.149 5.098 0.000
-8.274 -0.155 6.437
8.274 0.154 6.438
C O Li Ni P
4 28 12 4 4
direct
0.527 0.799 0.940
0.473 0.190 0.049
0.527 0.299 0.440
0.473 0.690 0.549
0.227 0.674 0.580
0.456 0.723 0.016
0.659 0.932 0.290
0.773 0.830 0.924
0.054 0.102 0.333
0.350 0.847 0.880
0.084 0.412 0.648
0.227 0.174 0.080
0.909 0.132 0.630
0.651 0.630 0.597
0.349 0.347 0.380
0.456 0.223 0.516
0.084 0.912 0.148
0.341 0.041 0.682
0.946 0.083 0.852
0.916 0.898 0.662
0.946 0.583 0.352
0.341 0.541 0.183
0.090 0.380 0.882
0.650 0.130 0.097
0.543 0.266 0.973
0.054 0.602 0.833
0.544 0.766 0.473
0.909 0.631 0.130
0.773 0.330 0.424
0.659 0.433 0.790
0.916 0.397 0.162
0.091 0.880 0.382
0.564 0.710 0.192
0.563 0.210 0.692
0.579 0.952 0.777
0.580 0.452 0.277
0.437 0.942 0.460
0.421 0.527 0.702
0.030 0.759 0.756
0.031 0.259 0.256
0.421 0.027 0.202
0.970 0.006 0.009
0.970 0.506 0.509
0.436 0.442 0.960
0.941 0.759 0.488
0.059 0.737 0.009
0.059 0.237 0.509
0.941 0.259 0.987
0.961 0.455 0.791
0.961 0.954 0.291
0.039 0.541 0.205
0.039 0.041 0.705
```

2:
# Li3NiPCO7

A geometry-optimized Li3NiPCO7 structure (GGA+U, Materials Project).

Geometry as POSCAR:
```
Li3NiPCO7
1.0
-5.972 5.828 0.440
-4.753 -3.020 -8.134
-3.572 -3.967 3.524
Li O P C Ni
12 28 4 4 4
direct
0.723 0.874 0.979
0.905 0.119 0.751
0.275 0.132 0.490
0.899 0.614 0.749
0.718 0.379 0.973
0.276 0.612 0.006
0.276 0.611 0.491
0.103 0.389 0.253
0.719 0.379 0.528
0.344 0.399 0.748
0.096 0.879 0.254
0.722 0.874 0.522
0.310 0.404 0.440
0.889 0.318 0.750
0.158 0.757 0.753
0.110 0.181 0.240
0.690 0.591 0.562
0.691 0.589 0.937
0.307 0.411 0.058
0.922 0.525 0.250
0.928 0.023 0.249
0.583 0.916 0.251
0.436 0.707 0.242
0.894 0.821 0.750
0.151 0.249 0.769
0.434 0.200 0.236
0.309 0.915 0.437
0.077 0.976 0.752
0.687 0.084 0.562
0.072 0.472 0.750
0.844 0.745 0.249
0.419 0.087 0.757
0.108 0.678 0.250
0.418 0.588 0.748
0.845 0.243 0.252
0.581 0.412 0.250
0.569 0.297 0.752
0.564 0.801 0.750
0.695 0.085 0.939
0.310 0.923 0.062
0.590 0.141 0.752
0.583 0.641 0.750
0.415 0.864 0.251
0.411 0.362 0.247
0.038 0.350 0.758
0.961 0.148 0.246
0.960 0.649 0.250
0.041 0.851 0.752
0.273 0.138 0.005
0.334 0.894 0.749
0.667 0.603 0.249
0.667 0.103 0.250
```

On energetic grounds, 1 is preferred over the next structure by 10 meV/atom.

1:
# K2Mo2O15

A geometry-optimized K2Mo2O15 structure (GGA+U, Materials Project).

Geometry as POSCAR:
```
K2Mo2O15
1.0
-6.002 -3.206 1.141
4.980 -5.365 -7.104
6.179 -4.021 9.315
O K Mo
30 4 4
direct
0.257 0.150 0.210
0.632 0.547 0.248
0.246 0.824 0.903
0.646 0.294 0.873
0.893 0.357 0.691
0.097 0.892 0.682
0.743 0.850 0.790
0.351 0.571 0.763
0.897 0.611 0.069
0.903 0.108 0.318
0.995 0.868 0.209
0.302 0.123 0.456
0.368 0.453 0.752
0.632 0.148 0.835
0.005 0.132 0.791
0.692 0.541 0.515
0.754 0.176 0.097
0.103 0.389 0.931
0.368 0.852 0.165
0.354 0.706 0.127
0.606 0.578 0.591
0.741 0.029 0.579
0.698 0.877 0.544
0.308 0.459 0.485
0.107 0.643 0.309
0.394 0.422 0.409
0.259 0.971 0.421
0.221 0.924 0.961
0.779 0.076 0.039
0.649 0.429 0.237
0.719 0.231 0.456
0.356 0.241 0.010
0.644 0.759 0.990
0.281 0.769 0.544
0.884 0.946 0.699
0.116 0.054 0.301
0.898 0.286 0.818
0.102 0.714 0.182
```

2:
# K2Mo2O15

A geometry-optimized K2Mo2O15 structure (GGA+U, Materials Project).

Geometry as POSCAR:
```
K2Mo2O15
1.0
-4.629 2.145 4.044
-2.093 -9.187 -2.613
10.039 -3.399 8.501
O Mo K
30 4 4
direct
0.887 0.373 0.799
0.668 0.336 0.133
0.061 0.511 0.237
0.939 0.489 0.763
0.826 0.087 0.797
0.836 0.764 0.786
0.463 0.794 0.832
0.901 0.354 0.555
0.099 0.646 0.445
0.343 0.047 0.433
0.176 0.985 0.898
0.164 0.236 0.214
0.113 0.627 0.201
0.989 0.711 0.477
0.657 0.953 0.567
0.862 0.984 0.314
0.734 0.586 0.935
0.824 0.015 0.102
0.535 0.520 0.274
0.537 0.206 0.168
0.685 0.877 0.087
0.138 0.016 0.686
0.465 0.480 0.726
0.332 0.664 0.867
0.677 0.851 0.623
0.315 0.123 0.913
0.266 0.414 0.065
0.323 0.149 0.377
0.011 0.289 0.523
0.174 0.913 0.203
0.060 0.040 0.244
0.940 0.960 0.756
0.414 0.369 0.174
0.586 0.631 0.826
0.809 0.236 0.979
0.543 0.788 0.369
0.191 0.764 0.021
0.457 0.212 0.631
```

On energetic grounds, 1 is preferred over the next structure by 49 meV/atom.

1:
# MgFe3Co2SbP6O24

A geometry-optimized MgFe3Co2SbP6O24 structure (GGA+U, Materials Project).

Geometry as POSCAR:
```
MgFe3Co2SbP6O24
1.0
8.803 0.052 0.050
4.324 -7.562 -0.004
4.314 -2.543 -7.140
O Sb P Mg Co Fe
24 1 6 1 2 3
direct
0.805 0.255 0.042
0.802 0.896 0.258
0.244 0.086 0.741
0.696 0.607 0.456
0.804 0.043 0.897
0.077 0.115 0.300
0.260 0.570 0.757
0.582 0.972 0.852
0.923 0.659 0.517
0.245 0.743 0.928
0.584 0.593 0.972
0.923 0.900 0.660
0.581 0.851 0.595
0.926 0.514 0.899
0.412 0.206 0.380
0.702 0.453 0.238
0.077 0.508 0.115
0.263 0.413 0.569
0.242 0.928 0.087
0.413 0.002 0.205
0.412 0.379 0.002
0.077 0.302 0.505
0.261 0.756 0.414
0.698 0.240 0.608
0.620 0.126 0.126
0.246 0.253 0.554
0.748 0.746 0.467
0.749 0.038 0.746
0.244 0.556 0.948
0.244 0.948 0.253
0.752 0.465 0.037
0.231 0.257 0.256
0.043 0.991 0.984
0.479 0.508 0.509
0.877 0.374 0.375
0.449 0.849 0.850
0.059 0.647 0.647
```

2:
# MgFe3Co2SbP6O24

A geometry-optimized MgFe3Co2SbP6O24 structure (GGA+U, Materials Project).

Geometry as POSCAR:
```
MgFe3Co2SbP6O24
1.0
-0.180 4.992 7.172
3.027 8.245 -0.359
-5.572 6.757 0.494
O Co Fe P Mg Sb
24 2 3 6 1 1
direct
0.765 0.063 0.914
0.066 0.507 0.116
0.411 0.192 0.386
0.223 0.090 0.746
0.263 0.761 0.411
0.227 0.936 0.089
0.691 0.448 0.250
0.411 0.385 0.012
0.916 0.915 0.678
0.763 0.914 0.261
0.226 0.745 0.942
0.266 0.565 0.762
0.562 0.992 0.838
0.765 0.259 0.063
0.907 0.678 0.502
0.268 0.406 0.566
0.564 0.606 0.989
0.685 0.612 0.448
0.067 0.113 0.309
0.413 0.008 0.192
0.691 0.253 0.609
0.917 0.493 0.910
0.066 0.313 0.506
0.553 0.841 0.606
0.470 0.508 0.512
0.019 0.997 0.991
0.435 0.854 0.855
0.044 0.653 0.655
0.215 0.259 0.262
0.236 0.948 0.255
0.733 0.466 0.051
0.236 0.560 0.951
0.733 0.053 0.748
0.727 0.750 0.470
0.236 0.255 0.559
0.863 0.384 0.377
0.586 0.138 0.138
```

On energetic grounds, 1 is preferred over the next structure by 16 meV/atom.